1.
Compound: Zr6Ga2Co
Source: the Materials Project
Functional: PBE-GGA
Structure: optimized geometry

```
9
Lattice="-3.049 7.263 -0.170 -4.455 -6.190 -1.977 -0.961 -0.329 3.197" Properties=species:S:1:pos:R:3 pbc="T T T"
Co -0.481 -0.164 1.598
Zr -3.131 -3.847 0.422
Zr -2.295 4.157 1.497
Zr -5.630 0.805 -1.611
Zr -1.112 -1.546 -0.494
Ga -3.518 2.778 -0.772
Zr -0.761 1.813 -0.042
Ga -3.986 -1.706 -1.375
Zr -3.520 0.270 0.729
```

Values from the calculation:
DFT total energy: -68.14 eV for the cell shown
DFT formation energy: -0.41 eV/atom

=====

2.
Compound: Lu2CuPd
Source: the Materials Project
Functional: PBE-GGA
Structure: optimized geometry

```
4
Lattice="-2.730 -2.700 2.908 -4.193 1.711 1.641 -4.149 -1.840 -1.614" Properties=species:S:1:pos:R:3 pbc="T T T"
Lu -8.304 -2.122 2.202
Pd 0.000 0.000 0.000
Lu -2.768 -0.707 0.734
Cu -5.536 -1.415 1.468
```

Values from the calculation:
DFT total energy: -20.89 eV for the cell shown
DFT formation energy: -0.64 eV/atom

=====

3.
Compound: Na3Hf3ScSi3S3O24
Source: the Materials Project
Functional: PBE-GGA
Structure: optimized geometry

```
111
Lattice="-7.259 -4.879 -2.038 5.368 -2.480 6.805 -12.666 12.789 14.710" Properties=species:S:1:pos:R:3 pbc="T T T"
O -11.112 6.887 15.968
O -16.096 6.698 14.215
O -9.881 3.736 11.608
Hf 0.793 -2.994 4.147
O -7.416 -1.648 4.046
O -8.793 6.485 8.402
O -4.493 6.678 15.784
Si -8.807 -2.374 3.653
O -0.946 -0.315 8.881
O -7.565 3.276 11.822
O -10.618 10.995 14.721
O -9.146 1.551 12.428
Hf -1.846 1.759 2.172
Hf -15.363 8.455 15.502
O -9.302 6.922 13.784
O -3.873 -3.336 6.856
S -14.660 6.124 9.602
O -0.975 3.088 11.545
O -9.232 4.209 7.912
O -15.957 6.203 10.321
Si -4.685 -0.064 11.354
O 1.384 -0.757 9.145
O 0.000 -3.686 5.994
O -4.630 -3.369 0.044
Na -10.744 -0.123 6.133
O -3.856 -5.591 4.923
O -11.228 6.342 12.098
S -9.915 5.532 8.106
O -12.913 3.600 15.295
Si -12.562 1.955 8.898
O -5.206 2.792 4.170
O -4.534 1.598 7.888
Si -10.102 7.453 12.418
Na -10.793 4.971 14.024
Hf -8.228 8.176 9.603
O -5.878 -1.129 11.068
O -8.843 2.098 10.104
O -5.395 3.985 6.977
O -3.314 3.542 11.314
O -9.374 2.694 15.259
O -13.622 5.780 10.561
Si -5.716 2.744 7.970
O -9.245 9.274 15.769
O -2.113 -2.644 1.521
O -5.591 0.492 3.704
Na -7.186 5.387 13.627
Si -12.549 6.997 16.766
O -12.934 5.559 17.456
Na -0.856 -1.090 6.248
O -1.584 -0.169 2.059
O -13.675 7.411 15.626
O -5.697 -1.678 1.485
Si -2.058 -1.577 2.769
O -5.210 3.471 13.659
O -5.627 3.412 9.473
Na -13.531 6.558 13.183
O -7.599 8.332 19.670
O -14.568 9.079 13.442
O -6.972 -2.897 -0.194
Hf -9.162 2.121 7.879
O -10.889 10.516 17.057
S -8.889 2.653 11.474
O -3.541 0.013 10.192
Si -5.692 7.782 15.832
O -5.317 1.412 11.610
O -3.405 -1.048 7.384
Na -7.290 0.172 5.726
O -12.406 8.119 17.933
O -8.845 7.155 17.938
O -10.712 8.941 12.657
O -9.289 1.860 5.924
O -1.937 1.229 6.707
S -2.012 3.456 10.604
O -12.627 4.179 12.834
Sc -11.825 4.610 11.053
O -5.514 -2.068 8.150
O -5.411 -3.770 3.720
O -10.879 5.484 9.191
S -5.648 -2.303 0.163
Hf -2.877 0.727 8.477
O -8.972 -0.096 7.928
O -12.444 3.062 10.070
O 1.483 -1.441 5.212
Na -1.947 -7.299 4.744
Hf -5.509 8.430 19.250
O -9.922 8.785 19.407
S -9.911 10.604 15.952
O -10.010 -1.271 3.787
Hf -9.156 7.188 15.738
Hf -5.478 3.375 11.400
O -8.941 7.539 11.263
Sc -5.437 -1.875 3.626
S -4.525 -2.031 7.071
S 0.084 -0.681 9.886
O -2.106 2.507 9.449
Si -4.660 -5.187 3.557
S -8.921 7.713 19.306
O -5.187 -1.503 5.852
O -0.855 -2.013 3.804
O -8.984 4.969 15.775
O -7.148 7.121 15.537
O -3.574 -5.091 2.321
Sc -11.627 -0.361 3.265
Na -13.510 1.490 5.328
O -3.432 -1.412 3.595
Na -3.782 0.505 5.342
O -11.108 1.825 8.119
O -7.152 2.047 7.690
O -13.686 2.383 7.763
O -5.670 5.380 11.624
O -1.660 1.860 4.169
```

Values from the calculation:
DFT total energy: -838.07 eV for the cell shown
DFT formation energy: -2.93 eV/atom

=====

4.
Compound: ZnH12C2S2N6O8
Source: the Materials Project
Functional: PBE-GGA
Structure: optimized geometry

```
62
Lattice="-5.412 3.175 7.861 3.821 9.298 -0.328 -4.262 -4.308 -8.027" Properties=species:S:1:pos:R:3 pbc="T T T"
O -4.367 5.796 1.851
H -2.954 -1.149 -4.140
C -0.761 5.918 0.735
H -3.068 9.100 3.506
S -7.473 0.916 0.470
C -2.840 3.799 -3.324
N -6.023 -1.027 -3.136
N -3.883 6.235 4.769
O -5.958 4.156 0.935
H -4.689 0.162 -1.351
N 0.567 6.074 0.758
S -2.599 1.068 1.247
O -6.688 1.236 1.728
N -3.471 8.169 3.566
S -5.725 2.816 4.824
H -6.584 -0.737 -2.341
H -3.887 5.736 5.653
H 0.973 7.003 0.700
N -2.878 8.051 5.801
H -0.678 3.879 0.658
H -3.676 5.393 -4.286
O -1.719 0.944 0.018
N -1.557 6.992 0.703
S -5.142 5.405 0.660
H -4.016 5.283 -2.558
O -6.215 6.433 0.353
H -2.781 7.512 6.654
H -2.622 9.036 5.781
O -3.043 -1.197 -7.680
H -1.679 2.475 -4.358
O -4.729 2.647 3.693
H -2.157 3.925 -5.243
O -2.602 10.845 4.774
H -3.338 3.403 -1.380
N -4.112 -0.272 -2.070
O 0.503 9.106 1.179
C -4.695 -0.872 -3.113
H -3.101 -0.204 -2.028
N -3.954 -1.317 -4.133
O -6.567 0.712 -0.675
H -4.184 5.772 3.914
H -2.175 2.301 -2.099
N -2.780 3.114 -2.177
H -2.295 4.574 0.784
Zn 0.000 0.000 0.000
N -2.154 3.374 -4.391
O -3.565 2.167 0.846
H -1.154 7.921 0.807
H -4.390 -1.869 -4.869
N -3.587 4.905 -3.401
C -3.410 7.484 4.713
N -1.288 4.690 0.745
O -1.804 1.472 2.421
O -1.276 0.715 -3.344
H 1.175 5.264 0.833
O -8.172 -0.377 0.843
H -2.562 6.872 0.629
Zn -5.235 2.551 1.800
H -6.475 -1.437 -3.948
O -4.834 3.206 5.987
O -4.257 5.209 -0.503
H -3.920 7.762 2.752
```

Values from the calculation:
DFT total energy: -363.66 eV for the cell shown
DFT formation energy: -0.94 eV/atom

=====

5.
Compound: Tl2S
Source: the Materials Project
Functional: PBE-GGA
Structure: optimized geometry

```
27
Lattice="7.337 -6.308 0.000 7.337 6.308 0.000 1.915 0.000 9.485" Properties=species:S:1:pos:R:3 pbc="T T T"
Tl 6.439 -3.939 6.566
S 9.560 4.225 5.467
S 8.974 0.000 5.131
Tl 9.996 -0.200 0.343
Tl 6.610 4.139 6.266
Tl 8.456 -2.106 3.162
S 10.800 2.093 1.989
Tl 2.496 0.192 7.252
S 3.446 0.000 1.970
Tl 4.429 1.906 4.051
Tl 6.470 -0.204 6.636
S 7.195 2.100 8.295
Tl 11.770 0.160 4.055
Tl 2.915 -2.106 0.012
Tl 6.343 4.283 0.523
Tl 9.973 1.930 7.198
Tl 6.178 -4.475 0.811
Tl 10.111 -2.090 6.958
Tl 0.940 -0.191 3.466
S 8.994 -4.194 5.147
S 7.745 -2.113 8.642
S 11.377 -2.112 2.290
S 14.311 0.000 8.182
Tl 4.591 -2.095 3.767
Tl 6.230 0.189 0.901
Tl 8.280 2.310 3.469
Tl 2.751 2.297 0.299
```

Values from the calculation:
DFT total energy: -89.03 eV for the cell shown
DFT formation energy: -0.51 eV/atom

=====

6.
Compound: Si
Source: the Materials Project
Functional: PBE-GGA
Structure: optimized geometry

```
106
Lattice="10.177 0.000 0.000 0.000 10.177 0.000 0.000 0.000 24.227" Properties=species:S:1:pos:R:3 pbc="T T T"
Si 6.954 8.302 0.696
Si 3.156 5.089 10.808
Si 0.000 3.872 12.706
Si 8.935 2.095 9.415
Si 1.217 5.089 0.592
Si 2.398 0.000 9.613
Si 2.592 1.828 4.438
Si 6.331 7.183 2.698
Si 1.828 2.592 19.790
Si 1.828 7.585 19.790
Si 0.000 6.271 16.398
Si 8.312 6.964 11.417
Si 5.089 5.089 12.114
Si 1.323 0.000 3.581
Si 0.000 1.933 22.922
Si 1.837 3.895 17.805
Si 2.592 8.349 4.438
Si 1.194 6.925 5.691
Si 3.872 0.000 11.522
Si 0.000 3.906 16.398
Si 2.496 6.917 7.676
Si 3.224 8.302 0.696
Si 6.954 1.875 0.696
Si 1.875 6.954 23.531
Si 3.766 5.089 8.533
Si 8.983 6.925 5.691
Si 7.021 5.089 10.808
Si 6.925 8.983 18.536
Si 3.846 7.183 2.698
Si 3.260 7.681 16.551
Si 1.242 8.083 9.415
Si 7.779 0.000 9.613
Si 8.961 5.089 0.592
Si 1.182 5.089 4.284
Si 5.089 6.412 15.695
Si 3.260 2.496 16.551
Si 2.994 6.331 21.529
Si 1.194 3.252 5.691
Si 0.000 2.398 14.614
Si 3.846 2.994 2.698
Si 0.000 0.000 0.000
Si 5.089 1.217 23.635
Si 7.585 8.349 4.438
Si 5.089 8.995 19.943
Si 1.865 3.214 11.417
Si 6.305 0.000 11.522
Si 8.349 7.585 19.790
Si 2.496 3.260 7.676
Si 1.933 0.000 1.305
Si 3.252 8.983 18.536
Si 7.585 1.828 4.438
Si 2.095 1.242 14.812
Si 0.000 6.305 12.706
Si 5.089 7.021 13.419
Si 6.271 0.000 7.829
Si 8.341 6.283 17.805
Si 2.994 3.846 21.529
Si 6.331 2.994 2.698
Si 1.837 6.283 17.805
Si 6.283 1.837 6.423
Si 7.183 6.331 21.529
Si 3.895 1.837 6.423
Si 3.906 0.000 7.829
Si 0.000 1.323 20.646
Si 8.935 8.083 9.415
Si 8.302 6.954 23.531
Si 8.312 3.214 11.417
Si 7.183 3.846 21.529
Si 8.349 2.592 19.790
Si 0.000 7.779 14.614
Si 8.983 3.252 5.691
Si 1.242 2.095 9.415
Si 0.000 8.245 22.922
Si 7.681 3.260 7.676
Si 7.681 6.917 7.676
Si 1.875 3.224 23.531
Si 5.089 1.182 19.943
Si 6.917 7.681 16.551
Si 8.854 0.000 3.581
Si 6.925 1.194 18.536
Si 6.964 8.312 12.810
Si 3.252 1.194 18.536
Si 6.917 2.496 16.551
Si 8.995 5.089 4.284
Si 3.895 8.341 6.423
Si 1.865 6.964 11.417
Si 3.224 1.875 0.696
Si 3.214 8.312 12.810
Si 8.341 3.895 17.805
Si 3.214 1.865 12.810
Si 5.089 7.487 21.727
Si 8.302 3.224 23.531
Si 7.487 5.089 2.501
Si 8.083 1.242 14.812
Si 2.690 5.089 2.501
Si 0.000 8.854 20.646
Si 6.964 1.865 12.810
Si 5.089 3.766 15.695
Si 5.089 2.690 21.727
Si 8.245 0.000 1.305
Si 5.089 3.156 13.419
Si 2.095 8.935 14.812
Si 5.089 8.961 23.635
Si 6.283 8.341 6.423
Si 8.083 8.935 14.812
Si 6.412 5.089 8.533
```

Values from the calculation:
DFT total energy: -556.12 eV for the cell shown
DFT formation energy: 0.18 eV/atom